# 1
# AlTlFe2F2

A relaxed AlTlFe2F2 crystal (PBE with a Hubbard U, the Materials Project database).

Summary:
energy relative to the lowest polymorph listed for this composition	0.0	meV per atom
VASP energy	-0.1557	hartree per atom
ΔH_f (0 K)	-3.98	eV/f.u.

Cell: 12.314 4.843 8.129 Å, 90.00 107.75 90.00°
Space group C2/c (No. 15)
One atom of each set of equivalent atoms:
1 Al 0.250 0.250 0.000
2 Tl 0.000 0.179 0.250
3 Fe 0.242 0.245 0.664
4 F 0.098 0.319 0.940



# 2
# AlTlFe2F2

A relaxed AlTlFe2F2 crystal (PBE with a Hubbard U, the Materials Project database).

Summary:
energy relative to the lowest polymorph listed for this composition	3.4	meV per atom
VASP energy	-0.1556	hartree per atom
ΔH_f (0 K)	-3.96	eV/f.u.

Cell: 15.312 5.338 5.159 Å, 90.00 91.53 90.00°
Space group C2/c (No. 15)
One atom of each set of equivalent atoms:
1 Al 0.250 0.250 0.000
2 Tl 0.000 0.140 0.250
3 Fe 0.163 0.203 0.532
4 F 0.141 0.418 0.920



- The highest energy relative to the lowest polymorph listed for this composition belongs to which entry?
  number 2



- VASP energy of number 1 (AlTlFe2F2)?
  -0.1557 hartree per atom



- The highest ΔH_f (0 K) belongs to which entry?
  number 2